Entry 1:
This record from the Materials Project describes KW3O9 after structural relaxation. The functional is PBE with a Hubbard U.

Cell and atoms, written as CIF:
```
data_KW3O9
_symmetry_space_group_name_H-M 'P 1'
_symmetry_Int_Tables_number 1
_symmetry_space_group_name_Hall 'P 1'
_cell_length_a 32.6167
_cell_length_b 32.6167
_cell_length_c 3.8534
_cell_angle_alpha 90.00
_cell_angle_beta 90.00
_cell_angle_gamma 166.84
loop_
_atom_site_label
_atom_site_type_symbol
_atom_site_fract_x
_atom_site_fract_y
_atom_site_fract_z
K1 K 0.0999 0.9001 0.0999
K2 K 0.6998 0.3002 0.1001
K3 K 0.3002 0.6998 0.1001
K4 K 0.9001 0.0999 0.0999
K5 K 0.5000 0.5000 0.9004
W1 W 0.5998 0.4002 0.5016
W2 W 0.4002 0.1005 0.5012
W3 W 0.1998 0.8002 0.5011
W4 W 0.8995 0.5998 0.5012
W5 W 0.5000 0.0000 0.5010
W6 W 0.0000 0.5000 0.5010
W7 W 0.8002 0.1998 0.5011
W8 W 0.5998 0.8995 0.5012
W9 W 0.1005 0.4002 0.5012
W10 W 0.4002 0.5998 0.5016
W11 W 0.7001 0.8004 0.5000
W12 W 0.1996 0.2999 0.5000
W13 W 0.0000 0.0000 0.4980
W14 W 0.2999 0.1996 0.5000
W15 W 0.8004 0.7001 0.5000
O1 O 0.0576 0.9424 0.4989
O2 O 0.3953 0.2378 0.4992
O3 O 0.7622 0.6047 0.4992
O4 O 0.5999 0.4001 0.9998
O5 O 0.4379 0.1958 0.4996
O6 O 0.1421 0.8579 0.4996
O7 O 0.4001 0.1004 0.0000
O8 O 0.8042 0.5621 0.4996
O9 O 0.6576 0.3424 0.4996
O10 O 0.3619 0.0045 0.4996
O11 O 0.1999 0.8001 0.0001
O12 O 0.8996 0.5999 0.0000
O13 O 0.9955 0.6381 0.4996
O14 O 0.4048 0.9629 0.4996
O15 O 0.2576 0.7424 0.4996
O16 O 0.5000 0.0000 0.9999
O17 O 0.0371 0.5952 0.4996
O18 O 0.7424 0.2576 0.4996
O19 O 0.0000 0.5000 0.9999
O20 O 0.5952 0.0371 0.4996
O21 O 0.9629 0.4048 0.4996
O22 O 0.8001 0.1999 0.0001
O23 O 0.6381 0.9955 0.4996
O24 O 0.5999 0.8996 0.0000
O25 O 0.0045 0.3619 0.4996
O26 O 0.5621 0.8042 0.4996
O27 O 0.8579 0.1421 0.4996
O28 O 0.1004 0.4001 0.0000
O29 O 0.3424 0.6576 0.4996
O30 O 0.6047 0.7622 0.4992
O31 O 0.1958 0.4379 0.4996
O32 O 0.7000 0.8003 0.0000
O33 O 0.4001 0.5999 0.9998
O34 O 0.9424 0.0576 0.4989
O35 O 0.2378 0.3953 0.4992
O36 O 0.1997 0.3000 0.0000
O37 O 0.7953 0.8378 0.5008
O38 O 0.1622 0.2047 0.5008
O39 O 0.4576 0.5424 0.5010
O40 O 0.0000 0.0000 0.0003
O41 O 0.8378 0.7953 0.5008
O42 O 0.2047 0.1622 0.5008
O43 O 0.3000 0.1997 0.0000
O44 O 0.5424 0.4576 0.5010
O45 O 0.8003 0.7000 0.0000
```

Computed properties:
Space group: Cmm2
Spin magnetization (μB per formula unit): 0.44
Energy of formation from the pure elements (eV per atom): -2.193

Entry 2:
This record from the Materials Project describes KW6O18 after structural relaxation. The functional is PBE with a Hubbard U.

Cell and atoms, written as CIF:
```
data_KW6O18
_symmetry_space_group_name_H-M 'P 1'
_symmetry_Int_Tables_number 1
_symmetry_space_group_name_Hall 'P 1'
_cell_length_a 7.5168
_cell_length_b 7.5168
_cell_length_c 7.7294
_cell_angle_alpha 90.00
_cell_angle_beta 90.00
_cell_angle_gamma 120.00
loop_
_atom_site_label
_atom_site_type_symbol
_atom_site_fract_x
_atom_site_fract_y
_atom_site_fract_z
K1 K 0.0000 0.0000 0.5000
W1 W 0.0000 0.5000 0.2495
W2 W 0.5000 0.0000 0.2495
W3 W 0.5000 0.0000 0.7505
W4 W 0.5000 0.5000 0.7505
W5 W 0.5000 0.5000 0.2495
W6 W 0.0000 0.5000 0.7505
O1 O 0.0000 0.5000 0.5000
O2 O 0.0000 0.5000 0.0000
O3 O 0.2120 0.7880 0.2520
O4 O 0.2120 0.7880 0.7480
O5 O 0.2120 0.4240 0.2520
O6 O 0.2120 0.4240 0.7480
O7 O 0.5000 0.0000 0.5000
O8 O 0.5760 0.7880 0.2520
O9 O 0.5760 0.7880 0.7480
O10 O 0.5000 0.5000 0.5000
O11 O 0.5000 0.5000 0.0000
O12 O 0.4240 0.2120 0.2520
O13 O 0.4240 0.2120 0.7480
O14 O 0.5000 0.0000 0.0000
O15 O 0.7880 0.5760 0.7480
O16 O 0.7880 0.5760 0.2520
O17 O 0.7880 0.2120 0.2520
O18 O 0.7880 0.2120 0.7480
```

Computed properties:
Space group: P6/mmm
Energy of formation from the pure elements (eV per atom): -2.224

Entry 3:
This record from the Materials Project describes KYW2O8 after structural relaxation. The functional is PBE with a Hubbard U.

Cell and atoms, written as CIF:
```
data_KYW2O8
_symmetry_space_group_name_H-M 'P 1'
_symmetry_Int_Tables_number 1
_symmetry_space_group_name_Hall 'P 1'
_cell_length_a 7.6034
_cell_length_b 7.6034
_cell_length_c 7.4906
_cell_angle_alpha 62.36
_cell_angle_beta 62.36
_cell_angle_gamma 88.31
loop_
_atom_site_label
_atom_site_type_symbol
_atom_site_fract_x
_atom_site_fract_y
_atom_site_fract_z
K1 K 0.7056 0.2944 0.7500
K2 K 0.2944 0.7056 0.2500
Y1 Y 0.2769 0.7231 0.7500
Y2 Y 0.7231 0.2769 0.2500
W1 W 0.1919 0.1960 0.2763
W2 W 0.8040 0.8081 0.2237
W3 W 0.8081 0.8040 0.7237
W4 W 0.1960 0.1919 0.7763
O1 O 0.1202 0.2553 0.5534
O2 O 0.7447 0.8798 0.9466
O3 O 0.8798 0.7447 0.4466
O4 O 0.2553 0.1202 0.0534
O5 O 0.5599 0.8681 0.3762
O6 O 0.1319 0.4401 0.1238
O7 O 0.4401 0.1319 0.6238
O8 O 0.8681 0.5599 0.8762
O9 O 0.5415 0.7141 0.8122
O10 O 0.2859 0.4585 0.6878
O11 O 0.4585 0.2859 0.1878
O12 O 0.7141 0.5415 0.3122
O13 O 0.1291 0.9056 0.5321
O14 O 0.8709 0.0944 0.4679
O15 O 0.0944 0.8709 0.9679
O16 O 0.9056 0.1291 0.0321
```

Computed properties:
Space group: C2/c
Spin magnetization (μB per formula unit): 0.00
Energy of formation from the pure elements (eV per atom): -2.668

Final energy, respectively: -7.19 -7.38 -7.56 eV per atom.